# 1
! PBE with a Hubbard U Ca2CrFeO5, optimized geometry; values from VASP
&SYSTEM
  ibrav = 0, nat = 36, ntyp = 4
/
ATOMIC_SPECIES
Fe 55.84 Fe.upf
O 16.00 O.upf
Ca 40.08 Ca.upf
Cr 52.00 Cr.upf
CELL_PARAMETERS angstrom
5.497 0.000 0.000
0.000 5.689 0.000
0.000 0.000 14.687
ATOMIC_POSITIONS crystal
Fe 0.946 0.931 0.250
O 0.592 0.880 0.250
O 0.092 0.620 0.250
Ca 0.478 0.025 0.393
Ca 0.522 0.975 0.893
Fe 0.054 0.069 0.750
Fe 0.554 0.431 0.750
O 0.408 0.120 0.750
O 0.972 0.925 0.640
Cr 0.500 0.500 0.000
Fe 0.446 0.569 0.250
Ca 0.978 0.475 0.107
Cr 0.000 0.000 0.500
O 0.765 0.265 0.981
O 0.528 0.425 0.140
Cr 0.000 0.000 0.000
O 0.472 0.575 0.640
O 0.765 0.265 0.519
Ca 0.022 0.525 0.607
O 0.972 0.925 0.860
Cr 0.500 0.500 0.500
O 0.235 0.735 0.481
O 0.028 0.075 0.360
O 0.908 0.380 0.750
Ca 0.522 0.975 0.607
O 0.028 0.075 0.140
O 0.265 0.235 0.981
Ca 0.478 0.025 0.107
O 0.735 0.765 0.481
Ca 0.022 0.525 0.893
O 0.472 0.575 0.860
Ca 0.978 0.475 0.393
O 0.528 0.425 0.360
O 0.235 0.735 0.019
O 0.735 0.765 0.019
O 0.265 0.235 0.519
! Energy of formation in meV/atom: -2610
! Crystal system: orthorhombic



# 2
! PBE with a Hubbard U LiV2O5F, optimized geometry; values from VASP
&SYSTEM
  ibrav = 0, nat = 36, ntyp = 4
/
ATOMIC_SPECIES
V 50.94 V.upf
O 16.00 O.upf
F 19.00 F.upf
Li 6.94 Li.upf
CELL_PARAMETERS angstrom
4.986 0.000 0.000
0.000 5.637 0.000
0.000 0.000 14.068
ATOMIC_POSITIONS crystal
V 0.445 0.935 0.657
O 0.095 0.394 0.750
F 0.802 0.406 0.588
V 0.520 0.392 0.172
V 0.945 0.065 0.843
V 0.020 0.608 0.328
O 0.595 0.606 0.750
O 0.405 0.606 0.250
O 0.253 0.862 0.396
O 0.412 0.121 0.243
V 0.980 0.608 0.672
O 0.088 0.879 0.743
O 0.912 0.879 0.257
V 0.555 0.935 0.343
F 0.302 0.594 0.912
F 0.698 0.594 0.088
O 0.247 0.138 0.896
O 0.747 0.862 0.604
O 0.756 0.342 0.900
O 0.744 0.658 0.400
O 0.753 0.138 0.104
V 0.055 0.065 0.157
V 0.480 0.392 0.828
Li 0.500 0.950 0.000
Li 0.000 0.050 0.500
O 0.244 0.342 0.100
O 0.687 0.134 0.416
O 0.187 0.866 0.084
F 0.198 0.406 0.412
O 0.813 0.866 0.916
O 0.256 0.658 0.600
Li 0.500 0.429 0.500
O 0.313 0.134 0.584
O 0.905 0.394 0.250
O 0.588 0.121 0.757
Li 0.000 0.571 0.000
! Energy of formation in meV/atom: -2434
! Crystal system: orthorhombic



# 3
! PBE with a Hubbard U Ba2Fe2Se2OF2, optimized geometry; values from VASP
&SYSTEM
  ibrav = 0, nat = 18, ntyp = 5
/
ATOMIC_SPECIES
Se 78.96 Se.upf
F 19.00 F.upf
Ba 137.33 Ba.upf
Fe 55.84 Fe.upf
O 16.00 O.upf
CELL_PARAMETERS angstrom
4.180 0.000 -0.850
-0.173 4.177 -0.850
3.893 4.059 19.137
ATOMIC_POSITIONS crystal
Se 0.000 0.000 0.910
F 0.000 0.500 0.750
Ba 0.000 0.000 0.670
F 0.500 0.000 0.750
Fe 0.000 0.500 0.000
O 0.000 0.000 0.500
Ba 0.500 0.500 0.170
Se 0.500 0.500 0.590
O 0.500 0.500 0.000
Fe 0.000 0.500 0.500
F 0.500 0.000 0.250
Fe 0.500 0.000 0.500
Se 0.000 0.000 0.090
Se 0.500 0.500 0.410
F 0.000 0.500 0.250
Fe 0.500 0.000 0.000
Ba 0.000 0.000 0.330
Ba 0.500 0.500 0.830
! Energy of formation in meV/atom: -2228